This record from Materials Project describes La2InPd2 after structural relaxation. The functional is PBE-GGA.

The space group is P4/mbm (No. 127) and the conventional cell measures 7.993, 7.993 and 3.946 Å, with angles of 90.00, 90.00 and 90.00 degrees. The asymmetric unit holds La at (0.176, 0.324, 0.000), In at (0.000, 0.000, 0.500) and Pd at (0.130, 0.630, 0.500).

The calculation puts the total magnetic moment at 0.01 μB/cell. As for the formation energy: -0.84 eV/atom. As for the volume: 25.21 A^3/atom.